Record 1
The following is a PBE-GGA calculation of a relaxed structure of Na7Zr3NbSi6O24, from the Materials Project database.

Calculated values
uncorrected energy = -7.48 eV/atom

Geometry as CIF:
```
data_Na7Zr3NbSi6O24
_cell_length_a 9.232
_cell_length_b 9.228
_cell_length_c 22.889
_cell_angle_alpha 90.04
_cell_angle_beta 89.94
_cell_angle_gamma 120.04
_symmetry_space_group_name_H-M 'P 1'
_symmetry_Int_Tables_number 1
loop_
_symmetry_equiv_pos_as_xyz
'x,y,z'
loop_
_atom_site_label
_atom_site_fract_x
_atom_site_fract_y
_atom_site_fract_z
O1 0.359 0.499 0.359
Si1 0.704 0.707 0.251
Na1 0.638 0.635 0.750
O2 0.633 0.132 0.137
O3 0.542 0.845 0.475
O4 0.842 0.303 0.526
O5 0.180 0.475 0.256
O6 0.505 0.647 0.859
O7 0.648 0.501 0.919
O8 0.515 0.828 0.758
O9 0.968 0.792 0.808
Si2 0.372 0.039 0.583
Na2 0.706 0.036 0.918
Na3 0.333 0.667 0.665
O10 0.843 0.549 0.024
O11 0.460 0.157 0.526
O12 0.187 0.022 0.588
O13 0.823 0.030 0.807
O14 0.482 0.320 0.745
Na4 0.034 0.700 0.583
Na5 0.962 0.666 0.918
O15 0.172 0.688 0.758
O16 0.860 0.496 0.419
Si3 0.295 0.297 0.750
Na6 0.664 0.695 0.084
O17 0.489 0.126 0.641
Si4 0.667 0.628 0.583
Zr1 0.998 0.999 0.350
O18 0.470 0.167 0.244
Si5 0.670 0.042 0.083
O19 0.674 0.518 0.245
O20 0.867 0.503 0.137
Nb1 0.334 0.665 0.816
O21 0.839 0.316 0.245
Si6 0.625 0.664 0.917
Si7 0.624 0.956 0.416
O22 0.306 0.844 0.975
O23 0.977 0.817 0.092
O24 0.838 0.519 0.745
Si8 0.371 0.330 0.086
O25 0.147 0.500 0.579
Nb2 0.998 0.998 0.150
Zr2 0.672 0.333 0.187
Si9 0.040 0.373 0.917
O26 0.348 0.494 0.079
Na7 0.365 0.003 0.750
Si10 0.292 0.997 0.251
O27 0.787 0.962 0.693
Zr3 0.667 0.334 0.685
O28 0.517 0.690 0.256
Zr4 0.333 0.664 0.019
O29 0.028 0.195 0.194
O30 0.540 0.696 0.974
O31 0.681 0.162 0.746
O32 0.638 0.511 0.641
Na8 0.372 0.367 0.249
O33 0.815 0.793 0.309
Na9 0.010 0.010 0.998
O34 0.202 0.170 0.804
O35 0.874 0.363 0.641
Na10 0.300 0.333 0.583
Si11 0.961 0.332 0.583
Nb3 0.333 0.671 0.311
O36 0.637 0.140 0.419
Si12 0.333 0.376 0.415
Na11 0.307 0.970 0.084
Si13 0.001 0.295 0.251
O37 0.499 0.646 0.579
O38 0.496 0.853 0.361
O39 0.162 0.966 0.911
Na12 0.676 0.333 0.328
Na13 0.703 0.668 0.415
Na14 0.000 0.000 0.499
Si14 0.703 0.997 0.751
O40 0.148 0.654 0.079
O41 0.143 0.496 0.860
O42 0.146 0.641 0.361
O43 0.167 0.189 0.412
O44 0.506 0.853 0.078
O45 0.977 0.164 0.588
Si15 0.044 0.667 0.416
O46 0.312 0.484 0.758
O47 0.306 0.826 0.257
O48 0.151 0.461 0.975
O49 0.488 0.366 0.143
Na15 0.997 0.363 0.750
O50 0.697 0.540 0.526
O51 0.836 0.813 0.588
O52 0.182 0.160 0.092
Na16 0.031 0.336 0.083
Na17 0.331 0.036 0.415
Na18 0.966 0.297 0.415
Si16 0.959 0.629 0.083
O53 0.810 0.977 0.412
O54 0.504 0.363 0.419
O55 0.980 0.185 0.310
Si17 0.003 0.706 0.751
Na19 0.333 0.675 0.168
O56 0.354 0.853 0.579
O57 0.012 0.185 0.912
O58 0.708 0.158 0.024
Si18 0.334 0.959 0.917
O59 0.805 0.829 0.194
O60 0.355 0.857 0.859
O61 0.303 0.460 0.474
Zr5 0.661 0.333 0.981
O62 0.859 0.366 0.918
Na20 0.666 0.966 0.583
O63 0.038 0.825 0.693
O64 0.169 0.974 0.193
O65 0.024 0.833 0.411
O66 0.459 0.293 0.030
O67 0.808 0.834 0.910
Zr6 0.000 0.000 0.649
Na21 0.658 0.333 0.836
O68 0.206 0.027 0.308
O69 0.839 0.024 0.092
O70 0.178 0.217 0.691
Zr7 0.333 0.666 0.518
Zr8 0.006 0.005 0.853
O71 0.510 0.137 0.919
Zr9 0.666 0.333 0.480
O72 0.156 0.698 0.475
```



Record 2
The following is a PBE-GGA calculation of a relaxed structure of Na3ZrNbSi3O12, from the Materials Project database.

Calculated values
energy relative to the lowest polymorph listed for this composition = 0 meV/atom

Geometry as CIF:
```
data_Na3ZrNbSi3O12
_cell_length_a 15.858
_cell_length_b 9.178
_cell_length_c 9.143
_cell_angle_alpha 90.00
_cell_angle_beta 124.92
_cell_angle_gamma 90.00
_symmetry_space_group_name_H-M 'P 1'
_symmetry_Int_Tables_number 1
loop_
_symmetry_equiv_pos_as_xyz
'x,y,z'
loop_
_atom_site_label
_atom_site_fract_x
_atom_site_fract_y
_atom_site_fract_z
Nb1 0.393 0.254 0.934
O1 0.350 0.921 0.256
O2 0.933 0.925 0.081
O3 0.154 0.567 0.746
O4 0.035 0.671 0.061
Zr1 0.107 0.251 0.067
O5 0.066 0.945 0.433
O6 0.756 0.339 0.751
Si1 0.855 0.399 0.756
O7 0.035 0.329 0.561
Si2 0.495 0.459 0.754
Na1 0.691 0.556 0.794
Nb2 0.393 0.746 0.434
O8 0.461 0.842 0.936
O9 0.756 0.661 0.251
Si3 0.355 0.899 0.756
Na2 0.254 0.272 0.499
O10 0.073 0.147 0.241
Nb3 0.893 0.754 0.934
O11 0.145 0.660 0.412
Si4 0.855 0.601 0.256
Na3 0.191 0.056 0.794
Zr2 0.607 0.249 0.567
O12 0.654 0.067 0.746
Na4 0.754 0.228 0.999
O13 0.850 0.579 0.756
Si5 0.645 0.109 0.244
O14 0.350 0.079 0.756
O15 0.961 0.342 0.936
O16 0.355 0.142 0.078
O17 0.411 0.355 0.756
Na5 0.499 0.111 0.745
O18 0.355 0.858 0.578
O19 0.535 0.171 0.061
O20 0.433 0.575 0.581
O21 0.066 0.055 0.933
O22 0.933 0.075 0.581
O23 0.566 0.445 0.433
O24 0.145 0.340 0.912
Na6 0.754 0.772 0.499
Nb4 0.893 0.246 0.434
O25 0.855 0.358 0.578
Na7 0.691 0.444 0.294
O26 0.461 0.158 0.436
O27 0.241 0.695 0.255
Na8 0.999 0.611 0.745
O28 0.411 0.645 0.256
O29 0.911 0.145 0.256
Na9 0.999 0.389 0.245
O30 0.566 0.555 0.933
O31 0.645 0.160 0.412
O32 0.850 0.421 0.256
Si6 0.645 0.891 0.744
O33 0.573 0.647 0.241
Si7 0.145 0.391 0.744
O34 0.741 0.195 0.255
O35 0.535 0.829 0.561
O36 0.433 0.425 0.081
Na10 0.191 0.944 0.294
O37 0.741 0.805 0.755
O38 0.241 0.305 0.755
O39 0.573 0.353 0.741
O40 0.855 0.642 0.078
Na11 0.254 0.728 0.999
O41 0.645 0.840 0.912
Si8 0.355 0.101 0.256
Zr3 0.107 0.749 0.567
O42 0.154 0.433 0.246
O43 0.961 0.658 0.436
Si9 0.995 0.959 0.754
O44 0.073 0.853 0.741
O45 0.256 0.161 0.251
O46 0.911 0.855 0.756
Si10 0.145 0.609 0.244
Si11 0.995 0.041 0.254
O47 0.256 0.839 0.751
O48 0.654 0.933 0.246
Na12 0.499 0.889 0.245
Zr4 0.607 0.751 0.067
Si12 0.495 0.541 0.254
```



Record 3
The following is a PBE-GGA calculation of a relaxed structure of Na3ZrNbSi3O12, from the Materials Project database.

Calculated values
energy relative to the lowest polymorph listed for this composition = 3 meV/atom

Geometry as CIF:
```
data_Na3ZrNbSi3O12
_cell_length_a 9.188
_cell_length_b 9.193
_cell_length_c 22.873
_cell_angle_alpha 90.00
_cell_angle_beta 90.09
_cell_angle_gamma 120.02
_symmetry_space_group_name_H-M 'P 1'
_symmetry_Int_Tables_number 1
loop_
_symmetry_equiv_pos_as_xyz
'x,y,z'
loop_
_atom_site_label
_atom_site_fract_x
_atom_site_fract_y
_atom_site_fract_z
Na1 0.330 0.298 0.916
O1 0.830 0.798 0.304
O2 0.132 0.633 0.357
O3 0.206 0.029 0.308
O4 0.506 0.857 0.077
O5 0.173 0.190 0.411
O6 0.800 0.829 0.190
O7 0.833 0.530 0.026
O8 0.191 0.036 0.590
O9 0.027 0.834 0.411
Na2 0.666 0.332 0.332
Na3 0.303 0.339 0.583
Nb1 0.339 0.671 0.313
O10 0.297 0.476 0.756
Zr1 0.329 0.661 0.020
Si1 0.374 0.331 0.084
Si2 0.671 0.043 0.083
O11 0.472 0.305 0.745
O12 0.857 0.487 0.423
O13 0.132 0.498 0.857
Na4 0.666 0.335 0.832
Si3 0.671 0.628 0.583
O14 0.845 0.517 0.746
Si4 0.625 0.960 0.419
Na5 0.994 0.632 0.249
O15 0.634 0.129 0.138
O16 0.191 0.154 0.090
Na6 0.994 0.363 0.749
Si5 0.706 0.995 0.749
O17 0.150 0.489 0.579
O18 0.206 0.177 0.808
Na7 0.992 0.009 0.998
Zr2 0.994 0.995 0.353
O19 0.161 0.696 0.471
O20 0.178 0.699 0.755
Na8 0.970 0.673 0.916
O21 0.634 0.145 0.422
Na9 0.992 0.983 0.498
Nb2 0.668 0.328 0.980
O22 0.978 0.186 0.310
O23 0.634 0.490 0.922
Si6 0.625 0.666 0.919
O24 0.506 0.151 0.922
Si7 0.039 0.664 0.415
Si8 0.374 0.043 0.584
Zr3 0.668 0.328 0.186
O25 0.517 0.689 0.256
Zr4 0.329 0.668 0.520
O26 0.682 0.522 0.244
Nb3 0.339 0.668 0.813
O27 0.489 0.362 0.142
O28 0.173 0.983 0.911
O29 0.857 0.370 0.923
Na10 0.369 0.365 0.250
O30 0.830 0.032 0.804
O31 0.361 0.500 0.078
O32 0.029 0.838 0.695
Si9 0.039 0.375 0.915
O33 0.165 0.198 0.693
Nb4 0.999 0.003 0.147
O34 0.506 0.650 0.577
O35 0.495 0.858 0.362
O36 0.305 0.844 0.974
O37 0.816 0.822 0.912
O38 0.816 0.994 0.412
O39 0.839 0.023 0.089
Si10 0.001 0.708 0.752
Si11 0.338 0.960 0.917
O40 0.027 0.193 0.911
Si12 0.291 0.293 0.751
O41 0.872 0.355 0.642
O42 0.305 0.460 0.474
Si13 0.291 0.998 0.251
O43 0.845 0.328 0.246
O44 0.489 0.127 0.642
O45 0.029 0.191 0.195
O46 0.839 0.816 0.589
Si14 0.706 0.710 0.249
O47 0.472 0.168 0.245
O48 0.634 0.505 0.638
O49 0.969 0.156 0.589
O50 0.969 0.813 0.089
O51 0.872 0.517 0.142
O52 0.165 0.967 0.193
O53 0.360 0.497 0.359
O54 0.695 0.528 0.526
O55 0.517 0.827 0.756
Si15 0.958 0.626 0.084
O56 0.800 0.972 0.690
Na11 0.303 0.964 0.083
O57 0.469 0.302 0.026
Zr5 0.994 0.998 0.853
Na12 0.330 0.032 0.416
O58 0.150 0.661 0.079
O59 0.360 0.863 0.859
O60 0.297 0.821 0.256
O61 0.541 0.851 0.477
O62 0.495 0.637 0.862
O63 0.695 0.167 0.026
Nb5 0.668 0.340 0.480
O64 0.833 0.303 0.526
Na13 0.664 0.966 0.582
Na14 0.369 0.003 0.750
O65 0.161 0.466 0.971
Si16 0.001 0.294 0.252
Na15 0.331 0.665 0.165
Si17 0.338 0.378 0.417
Si18 0.958 0.332 0.584
O66 0.361 0.860 0.578
Zr6 0.668 0.340 0.686
O67 0.541 0.691 0.977
O68 0.469 0.168 0.526
Na16 0.664 0.698 0.082
O69 0.978 0.793 0.810
O70 0.682 0.160 0.744
O71 0.506 0.355 0.422
O72 0.178 0.479 0.255
Nb6 0.999 0.996 0.647
Na17 0.970 0.297 0.416
Na18 0.331 0.666 0.665
```



Record 4
The following is a PBE-GGA calculation of a relaxed structure of NaZrNbSnO6, from the Materials Project database.

Calculated values
uncorrected energy = -7.70 eV/atom

Geometry as CIF:
```
data_NaZrNbSnO6
_cell_length_a 5.812
_cell_length_b 5.812
_cell_length_c 5.812
_cell_angle_alpha 60.00
_cell_angle_beta 60.00
_cell_angle_gamma 60.00
_symmetry_space_group_name_H-M 'P 1'
_symmetry_Int_Tables_number 1
loop_
_symmetry_equiv_pos_as_xyz
'x,y,z'
loop_
_atom_site_label
_atom_site_fract_x
_atom_site_fract_y
_atom_site_fract_z
O1 0.756 0.244 0.756
O2 0.756 0.244 0.244
O3 0.756 0.756 0.244
O4 0.244 0.756 0.244
Sn1 0.750 0.750 0.750
Zr1 0.500 0.500 0.500
Nb1 0.000 0.000 0.000
O5 0.244 0.756 0.756
O6 0.244 0.244 0.756
Na1 0.250 0.250 0.250
```